# 1
# RbSrCl3, optimized geometry, DFT r2SCAN
# Space-group type   No. 127
# Final energy   -12.004 eV/atom
# Total magnetic moment   0.0 μB/cell
# Energy relative to the elements   -2.50 eV/atom
data_RbSrCl3
_cell_length_a 7.734
_cell_length_b 7.734
_cell_length_c 5.716
_cell_angle_alpha 90.00
_cell_angle_beta 90.00
_cell_angle_gamma 90.00
_space_group_name_H-M_alt 'P 1'
_space_group_IT_number 1
loop_
_space_group_symop_operation_xyz
'x,y,z'
loop_
_atom_site_label
_atom_site_type_symbol
_atom_site_fract_x
_atom_site_fract_y
_atom_site_fract_z
_atom_site_occupancy
Cl1 Cl 0.827 0.673 0.500 1
Cl2 Cl 0.327 0.827 0.500 1
Cl3 Cl 0.173 0.327 0.500 1
Cl4 Cl 0.500 0.500 0.000 1
Cl5 Cl 0.000 0.000 0.000 1
Cl6 Cl 0.673 0.173 0.500 1
Rb1 Rb 0.500 0.000 0.000 1
Rb2 Rb 0.000 0.500 0.000 1
Sr1 Sr 0.000 0.000 0.500 1
Sr2 Sr 0.500 0.500 0.500 1


# 2
# GdGaGe2O7, optimized geometry, DFT r2SCAN
# Space-group type   No. 14
# Final energy   -13.677 eV/atom
# Total magnetic moment   28.0 μB/cell
# Energy relative to the elements   -2.37 eV/atom
data_GdGaGe2O7
_cell_length_a 6.580
_cell_length_b 7.183
_cell_length_c 12.798
_cell_angle_alpha 62.31
_cell_angle_beta 90.00
_cell_angle_gamma 90.00
_space_group_name_H-M_alt 'P 1'
_space_group_IT_number 1
loop_
_space_group_symop_operation_xyz
'x,y,z'
loop_
_atom_site_label
_atom_site_type_symbol
_atom_site_fract_x
_atom_site_fract_y
_atom_site_fract_z
_atom_site_occupancy
O1 O 0.812 0.150 0.813 1
O2 O 0.339 0.989 0.424 1
O3 O 0.188 0.850 0.187 1
O4 O 0.378 0.428 0.310 1
O5 O 0.839 0.011 0.076 1
O6 O 0.622 0.572 0.690 1
O7 O 0.552 0.789 0.874 1
O8 O 0.448 0.211 0.126 1
O9 O 0.612 0.784 0.281 1
O10 O 0.122 0.428 0.810 1
O11 O 0.172 0.589 0.980 1
O12 O 0.388 0.216 0.719 1
O13 O 0.888 0.784 0.781 1
O14 O 0.312 0.850 0.687 1
O15 O 0.328 0.589 0.480 1
O16 O 0.501 0.256 0.920 1
O17 O 0.001 0.744 0.580 1
O18 O 0.828 0.411 0.020 1
O19 O 0.499 0.744 0.080 1
O20 O 0.661 0.011 0.576 1
O21 O 0.999 0.256 0.420 1
O22 O 0.112 0.216 0.219 1
O23 O 0.672 0.411 0.520 1
O24 O 0.948 0.789 0.374 1
O25 O 0.052 0.211 0.626 1
O26 O 0.878 0.572 0.190 1
O27 O 0.688 0.150 0.313 1
O28 O 0.161 0.989 0.924 1
Ge1 Ge 0.088 0.701 0.723 1
Ge2 Ge 0.412 0.701 0.223 1
Ge3 Ge 0.912 0.299 0.277 1
Ge4 Ge 0.158 0.784 0.458 1
Ge5 Ge 0.658 0.216 0.042 1
Ge6 Ge 0.342 0.784 0.958 1
Ge7 Ge 0.842 0.216 0.542 1
Ge8 Ge 0.588 0.299 0.777 1
Ga1 Ga 0.400 0.211 0.269 1
Ga2 Ga 0.600 0.789 0.731 1
Ga3 Ga 0.900 0.789 0.231 1
Ga4 Ga 0.100 0.211 0.769 1
Gd1 Gd 0.646 0.761 0.474 1
Gd2 Gd 0.354 0.239 0.526 1
Gd3 Gd 0.146 0.239 0.026 1
Gd4 Gd 0.854 0.761 0.974 1


# 3
# BiF3, optimized geometry, DFT r2SCAN
# Space-group type   No. 62
# Final energy   -19.592 eV/atom
# Total magnetic moment   0.0 μB/cell
# Energy relative to the elements   -2.62 eV/atom
data_BiF3
_cell_length_a 4.675
_cell_length_b 6.548
_cell_length_c 7.068
_cell_angle_alpha 90.00
_cell_angle_beta 90.00
_cell_angle_gamma 90.00
_space_group_name_H-M_alt 'P 1'
_space_group_IT_number 1
loop_
_space_group_symop_operation_xyz
'x,y,z'
loop_
_atom_site_label
_atom_site_type_symbol
_atom_site_fract_x
_atom_site_fract_y
_atom_site_fract_z
_atom_site_occupancy
F1 F 0.369 0.166 0.061 1
F2 F 0.392 0.470 0.750 1
F3 F 0.608 0.530 0.250 1
F4 F 0.131 0.666 0.061 1
F5 F 0.892 0.030 0.250 1
F6 F 0.108 0.970 0.750 1
F7 F 0.869 0.334 0.939 1
F8 F 0.869 0.334 0.561 1
F9 F 0.131 0.666 0.439 1
F10 F 0.631 0.834 0.939 1
F11 F 0.369 0.166 0.439 1
F12 F 0.631 0.834 0.561 1
Bi1 Bi 0.456 0.865 0.250 1
Bi2 Bi 0.956 0.635 0.750 1
Bi3 Bi 0.544 0.135 0.750 1
Bi4 Bi 0.044 0.365 0.250 1


# 4
# TbCdAg2, optimized geometry, DFT r2SCAN
# Space-group type   No. 225
# Final energy   -23.809 eV/atom
# Total magnetic moment   0.0 μB/cell
# Energy relative to the elements   -0.30 eV/atom
data_TbCdAg2
_cell_length_a 4.912
_cell_length_b 4.912
_cell_length_c 4.912
_cell_angle_alpha 60.00
_cell_angle_beta 60.00
_cell_angle_gamma 60.00
_space_group_name_H-M_alt 'P 1'
_space_group_IT_number 1
loop_
_space_group_symop_operation_xyz
'x,y,z'
loop_
_atom_site_label
_atom_site_type_symbol
_atom_site_fract_x
_atom_site_fract_y
_atom_site_fract_z
_atom_site_occupancy
Tb1 Tb 0.750 0.750 0.750 1
Ag1 Ag 0.500 0.500 0.500 1
Ag2 Ag 0.000 0.000 0.000 1
Cd1 Cd 0.250 0.250 0.250 1


# 5
# LiSn3, optimized geometry, DFT r2SCAN
# Space-group type   No. 139
# Final energy   -19.207 eV/atom
# Total magnetic moment   0.0 μB/cell
# Energy relative to the elements   -0.05 eV/atom
data_LiSn3
_cell_length_a 5.732
_cell_length_b 5.732
_cell_length_c 5.732
_cell_angle_alpha 133.22
_cell_angle_beta 133.22
_cell_angle_gamma 68.30
_space_group_name_H-M_alt 'P 1'
_space_group_IT_number 1
loop_
_space_group_symop_operation_xyz
'x,y,z'
loop_
_atom_site_label
_atom_site_type_symbol
_atom_site_fract_x
_atom_site_fract_y
_atom_site_fract_z
_atom_site_occupancy
Sn1 Sn 0.500 0.500 0.000 1
Sn2 Sn 0.250 0.750 0.500 1
Sn3 Sn 0.750 0.250 0.500 1
Li1 Li 0.000 0.000 0.000 1


# 6
# CdH2O2, optimized geometry, DFT r2SCAN
# Space-group type   No. 1
# Final energy   -8.944 eV/atom
# Total magnetic moment   0.0 μB/cell
# Energy relative to the elements   -1.15 eV/atom
# Relative energy among the computed polymorphs   0 meV per atom
data_CdH2O2
_cell_length_a 3.434
_cell_length_b 5.702
_cell_length_c 6.053
_cell_angle_alpha 117.45
_cell_angle_beta 105.77
_cell_angle_gamma 91.21
_space_group_name_H-M_alt 'P 1'
_space_group_IT_number 1
loop_
_space_group_symop_operation_xyz
'x,y,z'
loop_
_atom_site_label
_atom_site_type_symbol
_atom_site_fract_x
_atom_site_fract_y
_atom_site_fract_z
_atom_site_occupancy
H1 H 0.162 0.653 0.283 1
H2 H 0.883 0.375 0.730 1
H3 H 0.359 0.320 0.002 1
H4 H 0.527 0.721 0.013 1
O1 O 0.529 0.889 0.008 1
O2 O 0.077 0.311 0.004 1
O3 O 0.237 0.830 0.441 1
O4 O 0.801 0.396 0.571 1
Cd1 Cd 0.172 0.153 0.314 1
Cd2 Cd 0.864 0.843 0.699 1


# 7
# HfFe6Ge6, optimized geometry, DFT r2SCAN
# Space-group type   No. 191
# Final energy   -16.692 eV/atom
# Total magnetic moment   14.2 μB/cell
# Energy relative to the elements   -0.16 eV/atom
data_HfFe6Ge6
_cell_length_a 5.047
_cell_length_b 5.047
_cell_length_c 8.148
_cell_angle_alpha 90.00
_cell_angle_beta 90.00
_cell_angle_gamma 120.00
_space_group_name_H-M_alt 'P 1'
_space_group_IT_number 1
loop_
_space_group_symop_operation_xyz
'x,y,z'
loop_
_atom_site_label
_atom_site_type_symbol
_atom_site_fract_x
_atom_site_fract_y
_atom_site_fract_z
_atom_site_occupancy
Ge1 Ge 0.000 0.000 0.342 1
Ge2 Ge 0.333 0.667 0.000 1
Ge3 Ge 0.667 0.333 0.000 1
Ge4 Ge 0.000 0.000 0.658 1
Ge5 Ge 0.667 0.333 0.500 1
Ge6 Ge 0.333 0.667 0.500 1
Fe1 Fe 0.000 0.500 0.249 1
Fe2 Fe 0.500 0.500 0.249 1
Fe3 Fe 0.000 0.500 0.751 1
Fe4 Fe 0.500 0.000 0.751 1
Fe5 Fe 0.500 0.000 0.249 1
Fe6 Fe 0.500 0.500 0.751 1
Hf1 Hf 0.000 0.000 0.000 1


# 8
# NaLuCl4, optimized geometry, DFT r2SCAN
# Space-group type   No. 60
# Final energy   -13.412 eV/atom
# Total magnetic moment   0.0 μB/cell
# Energy relative to the elements   -2.37 eV/atom
data_NaLuCl4
_cell_length_a 6.204
_cell_length_b 6.529
_cell_length_c 15.777
_cell_angle_alpha 90.00
_cell_angle_beta 90.00
_cell_angle_gamma 90.00
_space_group_name_H-M_alt 'P 1'
_space_group_IT_number 1
loop_
_space_group_symop_operation_xyz
'x,y,z'
loop_
_atom_site_label
_atom_site_type_symbol
_atom_site_fract_x
_atom_site_fract_y
_atom_site_fract_z
_atom_site_occupancy
Lu1 Lu 0.500 0.750 0.428 1
Lu2 Lu 0.000 0.750 0.928 1
Lu3 Lu 0.000 0.250 0.072 1
Lu4 Lu 0.500 0.250 0.572 1
Cl1 Cl 0.738 0.903 0.318 1
Cl2 Cl 0.262 0.597 0.318 1
Cl3 Cl 0.768 0.424 0.950 1
Cl4 Cl 0.238 0.597 0.818 1
Cl5 Cl 0.232 0.576 0.050 1
Cl6 Cl 0.762 0.403 0.182 1
Cl7 Cl 0.238 0.097 0.182 1
Cl8 Cl 0.262 0.097 0.682 1
Cl9 Cl 0.762 0.903 0.818 1
Cl10 Cl 0.268 0.576 0.550 1
Cl11 Cl 0.268 0.076 0.450 1
Cl12 Cl 0.732 0.924 0.550 1
Cl13 Cl 0.232 0.076 0.950 1
Cl14 Cl 0.738 0.403 0.682 1
Cl15 Cl 0.768 0.924 0.050 1
Cl16 Cl 0.732 0.424 0.450 1
Na1 Na 0.500 0.750 0.181 1
Na2 Na 0.500 0.250 0.819 1
Na3 Na 0.000 0.750 0.681 1
Na4 Na 0.000 0.250 0.319 1


# 9
# Cu3Mo2H2O10, optimized geometry, DFT r2SCAN
# Space-group type   No. 2
# Final energy   -10.368 eV/atom
# Total magnetic moment   3.0 μB/cell
# Energy relative to the elements   -1.47 eV/atom
data_Cu3Mo2H2O10
_cell_length_a 5.370
_cell_length_b 5.573
_cell_length_c 7.525
_cell_angle_alpha 103.27
_cell_angle_beta 106.26
_cell_angle_gamma 98.04
_space_group_name_H-M_alt 'P 1'
_space_group_IT_number 1
loop_
_space_group_symop_operation_xyz
'x,y,z'
loop_
_atom_site_label
_atom_site_type_symbol
_atom_site_fract_x
_atom_site_fract_y
_atom_site_fract_z
_atom_site_occupancy
O1 O 0.891 0.179 0.061 1
O2 O 0.564 0.001 0.267 1
O3 O 0.036 0.291 0.771 1
O4 O 0.229 0.256 0.447 1
O5 O 0.964 0.709 0.229 1
O6 O 0.771 0.744 0.553 1
O7 O 0.428 0.457 0.171 1
O8 O 0.572 0.543 0.829 1
O9 O 0.436 0.999 0.733 1
O10 O 0.109 0.821 0.939 1
Cu1 Cu 0.000 0.500 0.000 1
Cu2 Cu 0.777 0.913 0.810 1
Cu3 Cu 0.223 0.087 0.190 1
H1 H 0.231 0.826 0.864 1
H2 H 0.769 0.174 0.136 1
Mo1 Mo 0.321 0.274 0.694 1
Mo2 Mo 0.679 0.726 0.306 1


# 10
# PrSm, optimized geometry, DFT r2SCAN
# Space-group type   No. 187
# Final energy   -29.533 eV/atom
# Total magnetic moment   0.1 μB/cell
# Energy relative to the elements   0.04 eV/atom
data_PrSm
_cell_length_a 3.744
_cell_length_b 3.744
_cell_length_c 5.904
_cell_angle_alpha 90.00
_cell_angle_beta 90.00
_cell_angle_gamma 120.00
_space_group_name_H-M_alt 'P 1'
_space_group_IT_number 1
loop_
_space_group_symop_operation_xyz
'x,y,z'
loop_
_atom_site_label
_atom_site_type_symbol
_atom_site_fract_x
_atom_site_fract_y
_atom_site_fract_z
_atom_site_occupancy
Pr1 Pr 0.667 0.333 0.500 1
Sm1 Sm 0.333 0.667 0.000 1


# 11
# Tl2Cd3Sb3, optimized geometry, DFT r2SCAN
# Space-group type   No. 12
# Final energy   -30.589 eV/atom
# Total magnetic moment   0.0 μB/cell
# Energy relative to the elements   -0.11 eV/atom
data_Tl2Cd3Sb3
_cell_length_a 9.083
_cell_length_b 9.083
_cell_length_c 12.015
_cell_angle_alpha 68.07
_cell_angle_beta 68.07
_cell_angle_gamma 31.60
_space_group_name_H-M_alt 'P 1'
_space_group_IT_number 1
loop_
_space_group_symop_operation_xyz
'x,y,z'
loop_
_atom_site_label
_atom_site_type_symbol
_atom_site_fract_x
_atom_site_fract_y
_atom_site_fract_z
_atom_site_occupancy
Tl1 Tl 0.311 0.311 0.389 1
Tl2 Tl 0.689 0.689 0.611 1
Tl3 Tl 0.177 0.177 0.112 1
Tl4 Tl 0.823 0.823 0.888 1
Cd1 Cd 0.945 0.945 0.274 1
Cd2 Cd 0.393 0.393 0.071 1
Cd3 Cd 0.055 0.055 0.726 1
Cd4 Cd 0.367 0.367 0.660 1
Cd5 Cd 0.607 0.607 0.929 1
Cd6 Cd 0.633 0.633 0.340 1
Sb1 Sb 0.913 0.913 0.529 1
Sb2 Sb 0.533 0.533 0.186 1
Sb3 Sb 0.191 0.191 0.814 1
Sb4 Sb 0.087 0.087 0.471 1
Sb5 Sb 0.467 0.467 0.814 1
Sb6 Sb 0.809 0.809 0.186 1


# 12
# ThBr4, optimized geometry, DFT r2SCAN
# Space-group type   No. 88
# Final energy   -27.298 eV/atom
# Total magnetic moment   0.0 μB/cell
# Energy relative to the elements   -2.00 eV/atom
data_ThBr4
_cell_length_a 8.392
_cell_length_b 8.392
_cell_length_c 8.392
_cell_angle_alpha 131.87
_cell_angle_beta 131.87
_cell_angle_gamma 70.44
_space_group_name_H-M_alt 'P 1'
_space_group_IT_number 1
loop_
_space_group_symop_operation_xyz
'x,y,z'
loop_
_atom_site_label
_atom_site_type_symbol
_atom_site_fract_x
_atom_site_fract_y
_atom_site_fract_z
_atom_site_occupancy
Br1 Br 0.036 0.731 0.868 1
Br2 Br 0.231 0.863 0.695 1
Br3 Br 0.332 0.464 0.195 1
Br4 Br 0.637 0.832 0.368 1
Br5 Br 0.668 0.536 0.805 1
Br6 Br 0.964 0.269 0.132 1
Br7 Br 0.769 0.137 0.305 1
Br8 Br 0.363 0.168 0.632 1
Th1 Th 0.625 0.875 0.750 1
Th2 Th 0.375 0.125 0.250 1